(1)
MoP4H36C12Cl2 | PBE | relaxed

Summary:
* ΔH_f (0 K): -254 meV/atom
* energy: -5.12 eV/atom

Unit cell a=9.481 b=9.481 c=9.481 alpha=117.19 beta=117.19 gamma=94.94
Sites, in units of the cell vectors:
H1 0.711 0.711 0.327
H2 0.189 0.687 0.127
P1 0.210 0.855 0.000
H3 0.319 0.987 0.446
P2 0.145 0.145 0.355
H4 0.483 0.649 0.395
C1 0.661 0.186 0.000
H5 0.440 0.313 0.502
H6 0.062 0.560 0.873
C2 0.017 0.213 0.454
C3 0.186 0.661 0.000
H7 0.289 0.616 0.000
P3 0.790 0.790 0.645
P4 0.855 0.210 0.000
C4 0.787 0.241 0.803
H8 0.265 0.895 0.792
H9 0.616 0.289 0.000
H10 0.527 0.735 0.630
H11 0.013 0.459 0.332
Cl1 0.807 0.807 0.000
C5 0.437 0.983 0.197
H12 0.517 0.913 0.166
H13 0.649 0.483 0.395
H14 0.473 0.103 0.208
H15 0.897 0.105 0.370
C6 0.983 0.437 0.197
H16 0.351 0.746 0.834
C7 0.213 0.017 0.454
H17 0.459 0.013 0.332
H18 0.687 0.189 0.127
H19 0.541 0.874 0.554
H20 0.254 0.087 0.605
C8 0.241 0.787 0.803
H21 0.087 0.254 0.605
H22 0.105 0.897 0.370
H23 0.746 0.351 0.834
Cl2 0.193 0.193 0.000
H24 0.126 0.681 0.668
H25 0.560 0.062 0.873
H26 0.913 0.517 0.166
H27 0.681 0.126 0.668
H28 0.735 0.527 0.630
C9 0.814 0.814 0.475
C10 0.759 0.563 0.546
H29 0.811 0.938 0.498
H30 0.103 0.473 0.208
H31 0.938 0.811 0.498
H32 0.895 0.265 0.792
H33 0.384 0.384 0.673
C11 0.563 0.759 0.546
Mo1 0.000 0.000 0.000
C12 0.339 0.339 0.525
H34 0.987 0.319 0.446
H35 0.874 0.541 0.554
H36 0.313 0.440 0.502

(2)
MoP2H18C6Cl2 | PBE | relaxed

Summary:
* ΔH_f (0 K): -245 meV/atom
* energy: -5.09 eV/atom

Unit cell a=13.066 b=13.066 c=21.181 alpha=90.00 beta=90.00 gamma=90.00
Sites, in units of the cell vectors:
C1 0.445 0.704 0.165
P1 0.780 0.562 0.830
H1 0.287 0.454 0.975
P2 0.280 0.938 0.420
H2 0.422 0.037 0.652
C2 0.619 0.771 0.090
H3 0.268 0.093 0.933
H4 0.586 0.369 0.178
H5 0.536 0.375 0.652
H6 0.537 0.078 0.902
H7 0.764 0.552 0.396
C3 0.796 0.945 0.915
H8 0.301 0.204 0.593
Mo1 0.753 0.678 0.736
C4 0.801 0.872 0.412
H9 0.078 0.679 0.193
H10 0.077 0.553 0.356
H11 0.503 0.937 0.221
C5 0.078 0.116 0.798
H12 0.661 0.001 0.291
H13 0.204 0.301 0.407
P3 0.624 0.289 0.075
H14 0.805 0.792 0.428
Mo2 0.253 0.822 0.514
H15 0.422 0.626 0.004
H16 0.736 0.052 0.354
H17 0.321 0.533 0.568
H18 0.037 0.422 0.348
Mo3 0.747 0.178 0.014
H19 0.563 0.003 0.971
P4 0.876 0.789 0.675
H20 0.679 0.467 0.068
H21 0.093 0.268 0.067
C6 0.884 0.922 0.702
H22 0.454 0.287 0.025
C7 0.494 0.239 0.060
H23 0.383 0.308 0.574
C8 0.422 0.616 0.952
H24 0.448 0.236 0.104
C9 0.729 0.119 0.840
C10 0.704 0.445 0.835
Cl1 0.811 0.656 0.214
H25 0.086 0.131 0.072
H26 0.305 0.708 0.822
H27 0.296 0.801 0.343
C11 0.271 0.881 0.340
C12 0.881 0.271 0.660
H28 0.997 0.437 0.529
H29 0.263 0.609 0.370
C13 0.994 0.261 0.190
C14 0.616 0.422 0.048
H30 0.797 0.909 0.962
H31 0.374 0.578 0.496
P5 0.211 0.124 0.825
C15 0.414 0.982 0.422
H32 0.117 0.808 0.176
Cl2 0.746 0.040 0.089
H33 0.552 0.764 0.604
Cl3 0.689 0.156 0.536
H34 0.874 0.922 0.754
H35 0.213 0.954 0.775
H36 0.052 0.736 0.646
H37 0.463 0.922 0.402
C16 0.384 0.578 0.548
C17 0.128 0.199 0.088
H38 0.923 0.447 0.856
H39 0.297 0.591 0.288
H40 0.875 0.964 0.902
H41 0.922 0.463 0.598
H42 0.292 0.695 0.678
H43 0.909 0.797 0.038
H44 0.704 0.199 0.843
Cl4 0.344 0.189 0.286
H45 0.042 0.042 0.810
H46 0.369 0.586 0.822
P6 0.289 0.624 0.925
H47 0.422 0.179 0.557
H48 0.922 0.874 0.246
P7 0.789 0.876 0.325
Cl5 0.040 0.746 0.911
H49 0.692 0.617 0.926
C18 0.771 0.619 0.910
H50 0.546 0.713 0.525
H51 0.264 0.948 0.854
H52 0.467 0.679 0.932
H53 0.609 0.263 0.630
H54 0.161 0.499 0.959
H55 0.053 0.423 0.606
Cl6 0.540 0.754 0.339
P8 0.376 0.711 0.575
H56 0.046 0.787 0.725
H57 0.787 0.046 0.275
H58 0.578 0.963 0.152
H59 0.192 0.883 0.324
H60 0.625 0.464 0.848
H61 0.937 0.503 0.779
H62 0.947 0.577 0.106
C19 0.204 0.055 0.415
H63 0.958 0.958 0.310
H64 0.339 0.999 0.791
H65 0.499 0.161 0.041
C20 0.239 0.494 0.940
H66 0.458 0.542 0.940
H67 0.593 0.232 0.183
H68 0.321 0.922 0.307
H69 0.578 0.821 0.057
C21 0.945 0.796 0.085
H70 0.883 0.192 0.676
Cl7 0.189 0.344 0.714
H71 0.195 0.208 0.928
H72 0.891 0.763 0.120
H73 0.732 0.907 0.433
Cl8 0.254 0.960 0.589
H74 0.091 0.203 0.538
C22 0.116 0.078 0.202
Mo4 0.322 0.247 0.764
H75 0.542 0.458 0.440
H76 0.125 0.036 0.402
H77 0.626 0.422 0.996
H78 0.617 0.692 0.074
H79 0.768 0.407 0.317
C23 0.586 0.018 0.922
H80 0.914 0.869 0.572
H81 0.078 0.537 0.098
C24 0.372 0.699 0.662
H82 0.821 0.967 0.682
H83 0.407 0.768 0.683
H84 0.963 0.578 0.848
C25 0.301 0.628 0.838
H85 0.458 0.542 0.560
H86 0.808 0.117 0.824
H87 0.375 0.536 0.348
H88 0.796 0.699 0.907
C26 0.761 0.506 0.440
P9 0.720 0.062 0.920
H89 0.126 0.078 0.254
H90 0.423 0.053 0.394
Cl9 0.460 0.246 0.839
Mo5 0.822 0.253 0.486
H91 0.967 0.821 0.318
H92 0.964 0.875 0.098
Cl10 0.156 0.689 0.464
H93 0.542 0.458 0.060
H94 0.033 0.179 0.818
Cl11 0.656 0.811 0.786
Cl12 0.844 0.311 0.964
C27 0.506 0.761 0.560
Cl13 0.311 0.844 0.036
P10 0.062 0.720 0.080
C28 0.482 0.086 0.672
C29 0.229 0.381 0.410
H95 0.792 0.805 0.572
H96 0.713 0.546 0.475
Cl14 0.754 0.540 0.661
C30 0.261 0.994 0.810
C31 0.555 0.296 0.665
H97 0.001 0.661 0.709
H98 0.237 0.109 0.380
H99 0.179 0.033 0.182
H100 0.591 0.297 0.712
H101 0.003 0.563 0.029
C32 0.518 0.914 0.172
H102 0.839 0.501 0.459
Mo6 0.178 0.747 0.986
H103 0.063 0.497 0.279
C33 0.914 0.518 0.828
Cl15 0.960 0.254 0.411
C34 0.199 0.128 0.912
C35 0.296 0.555 0.335
H104 0.447 0.923 0.144
H105 0.801 0.296 0.657
P11 0.711 0.376 0.425
H106 0.464 0.625 0.152
H107 0.199 0.704 0.157
H108 0.109 0.237 0.620
H109 0.699 0.796 0.093
Mo7 0.247 0.322 0.236
H110 0.497 0.063 0.721
C36 0.578 0.384 0.452
H111 0.308 0.383 0.426
H112 0.036 0.125 0.598
H113 0.763 0.891 0.880
C37 0.055 0.204 0.585
Mo8 0.678 0.753 0.264
H114 0.533 0.321 0.432
C38 0.699 0.372 0.338
Cl16 0.246 0.460 0.161
H115 0.631 0.414 0.322
H116 0.409 0.703 0.212
H117 0.414 0.631 0.678
H118 0.553 0.077 0.644
H119 0.078 0.126 0.746
H120 0.954 0.213 0.225
H121 0.203 0.091 0.462
H122 0.236 0.448 0.896
H123 0.737 0.391 0.870
H124 0.958 0.958 0.690
P12 0.562 0.780 0.170
H125 0.679 0.078 0.807
H126 0.907 0.732 0.567
C39 0.119 0.729 0.160
H127 0.578 0.374 0.504
C40 0.739 0.006 0.310
H128 0.208 0.195 0.072
H129 0.821 0.578 0.943
H130 0.131 0.086 0.928
H131 0.948 0.264 0.146
C41 0.872 0.801 0.588
P13 0.124 0.211 0.175
H132 0.869 0.914 0.428
C42 0.018 0.586 0.078
H133 0.437 0.997 0.471
C43 0.006 0.739 0.690
H134 0.501 0.839 0.541
H135 0.577 0.947 0.894
P14 0.220 0.438 0.330
H136 0.999 0.339 0.209
H137 0.232 0.593 0.817
H138 0.391 0.737 0.130
C44 0.982 0.414 0.578
C45 0.922 0.884 0.298
H139 0.703 0.409 0.788
C46 0.628 0.301 0.162
H140 0.922 0.321 0.693
H141 0.042 0.042 0.190
C47 0.381 0.229 0.590
P15 0.438 0.220 0.670
P16 0.938 0.280 0.580
H142 0.708 0.305 0.178
C48 0.086 0.482 0.328
H143 0.695 0.292 0.322
H144 0.179 0.422 0.443

- The highest energy belongs to which entry?
  MoP2H18C6Cl2

- Look up the ΔH_f (0 K) of the second one.
  -245 meV/atom